1.
Below is a relaxed YMg5 crystal, with properties calculated at the PBE level.

Output
- ΔE_f (eV per atom) = 0.01
- total energy (eV per atom) = -2.403

abc: 12.521 3.243 7.596
angles: 90.00 104.35 90.00
Sites, in units of the cell vectors:
1 Y 0.000 0.000 0.000
2 Y 0.500 0.500 0.000
3 Mg 0.117 0.500 0.725
4 Mg 0.172 0.500 0.344
5 Mg 0.277 0.000 0.061
6 Mg 0.331 0.000 0.667
7 Mg 0.446 0.500 0.397
8 Mg 0.617 0.000 0.725
9 Mg 0.672 0.000 0.344
10 Mg 0.777 0.500 0.061
11 Mg 0.831 0.500 0.667
12 Mg 0.946 0.000 0.397


2.
Below is a relaxed Nb8Pb6O25 crystal, with properties calculated at the PBE level.

Output
- ΔE_f (eV per atom) = -2.61
- total energy (eV per atom) = -7.983

abc: 7.588 7.588 10.672
angles: 90.06 90.06 90.26
Sites, in units of the cell vectors:
1 Nb 0.122 0.122 0.374
2 Nb 0.122 0.629 0.876
3 Nb 0.367 0.375 0.122
4 Nb 0.371 0.878 0.124
5 Nb 0.623 0.123 0.373
6 Nb 0.625 0.633 0.878
7 Nb 0.877 0.377 0.627
8 Nb 0.878 0.878 0.626
9 Pb 0.125 0.623 0.369
10 Pb 0.376 0.373 0.631
11 Pb 0.377 0.875 0.631
12 Pb 0.627 0.624 0.369
13 Pb 0.647 0.137 0.890
14 Pb 0.863 0.353 0.110
15 O 0.066 0.809 0.746
16 O 0.067 0.441 0.744
17 O 0.068 0.932 0.500
18 O 0.069 0.317 0.500
19 O 0.185 0.439 0.004
20 O 0.189 0.313 0.251
21 O 0.191 0.934 0.254
22 O 0.196 0.804 0.000
23 O 0.375 0.127 0.444
24 O 0.375 0.625 0.500
25 O 0.377 0.623 0.196
26 O 0.377 0.623 0.804
27 O 0.386 0.125 0.066
28 O 0.559 0.933 0.256
29 O 0.561 0.439 0.000
30 O 0.561 0.815 0.996
31 O 0.567 0.314 0.249
32 O 0.681 0.319 0.500
33 O 0.683 0.931 0.500
34 O 0.686 0.433 0.751
35 O 0.687 0.811 0.749
36 O 0.867 0.124 0.684
37 O 0.873 0.625 0.556
38 O 0.875 0.614 0.934
39 O 0.876 0.133 0.316


3.
Below is a relaxed Cs2MnTe2S6 crystal, with properties calculated at the PBE level.

Output
- ΔE_f (eV per atom) = -0.77
- total energy (eV per atom) = -4.315

abc: 7.031 7.031 16.267
angles: 90.00 90.00 120.00
Sites, in units of the cell vectors:
1 Cs 0.333 0.667 0.202
2 Cs 0.333 0.667 0.702
3 Cs 0.667 0.333 0.298
4 Cs 0.667 0.333 0.798
5 Mn 0.000 0.000 0.000
6 Mn 0.000 0.000 0.500
7 Te 0.333 0.667 0.460
8 Te 0.333 0.667 0.960
9 Te 0.667 0.333 0.040
10 Te 0.667 0.333 0.540
11 S 0.115 0.320 0.395
12 S 0.115 0.794 0.895
13 S 0.206 0.320 0.895
14 S 0.206 0.885 0.395
15 S 0.320 0.115 0.105
16 S 0.320 0.206 0.605
17 S 0.680 0.794 0.395
18 S 0.680 0.885 0.895
19 S 0.794 0.115 0.605
20 S 0.794 0.680 0.105
21 S 0.885 0.206 0.105
22 S 0.885 0.680 0.605


4.
Below is a relaxed Sr2PrBiO6 crystal, with properties calculated at the PBE level.

Output
- ΔE_f (eV per atom) = -2.77
- total energy (eV per atom) = -6.531

abc: 6.029 6.205 10.512
angles: 90.00 124.57 90.00
Sites, in units of the cell vectors:
1 Sr 0.236 0.048 0.249
2 Sr 0.236 0.452 0.749
3 Sr 0.764 0.548 0.251
4 Sr 0.764 0.952 0.751
5 Pr 0.500 0.000 0.000
6 Pr 0.500 0.500 0.500
7 Bi 0.000 0.000 0.500
8 Bi 0.000 0.500 0.000
9 O 0.126 0.213 0.943
10 O 0.126 0.287 0.443
11 O 0.232 0.690 0.945
12 O 0.232 0.810 0.445
13 O 0.340 0.043 0.736
14 O 0.340 0.457 0.236
15 O 0.660 0.543 0.764
16 O 0.660 0.957 0.264
17 O 0.768 0.190 0.555
18 O 0.768 0.310 0.055
19 O 0.874 0.713 0.557
20 O 0.874 0.787 0.057


5.
Below is a relaxed RbLiF2 crystal, with properties calculated at the PBE level.

Output
- ΔE_f (eV per atom) = -3.01
- total energy (eV per atom) = -4.461

abc: 6.414 6.414 7.958
angles: 92.77 92.77 124.89
Sites, in units of the cell vectors:
1 Rb 0.145 0.325 0.431
2 Rb 0.325 0.145 0.931
3 Rb 0.675 0.855 0.069
4 Rb 0.855 0.675 0.569
5 Li 0.044 0.441 0.860
6 Li 0.441 0.044 0.360
7 Li 0.559 0.956 0.640
8 Li 0.956 0.559 0.140
9 F 0.114 0.886 0.250
10 F 0.154 0.432 0.084
11 F 0.311 0.689 0.750
12 F 0.432 0.154 0.584
13 F 0.568 0.846 0.416
14 F 0.689 0.311 0.250
15 F 0.846 0.568 0.916
16 F 0.886 0.114 0.750


6.
Below is a relaxed SrCaLaBiO6 crystal, with properties calculated at the PBE level.

Output
- relative energy among the computed polymorphs (meV per atom) = 97
- ΔE_f (eV per atom) = -2.74
- total energy (eV per atom) = -6.553

abc: 8.496 8.542 8.556
angles: 90.00 90.00 90.00
Sites, in units of the cell vectors:
1 Sr 0.250 0.250 0.250
2 Sr 0.250 0.750 0.750
3 Sr 0.750 0.250 0.250
4 Sr 0.750 0.750 0.750
5 Ca 0.000 0.000 0.000
6 Ca 0.000 0.500 0.500
7 Ca 0.500 0.000 0.500
8 Ca 0.500 0.500 0.000
9 La 0.250 0.250 0.750
10 La 0.250 0.750 0.250
11 La 0.750 0.250 0.750
12 La 0.750 0.750 0.250
13 Bi 0.000 0.000 0.500
14 Bi 0.000 0.500 0.000
15 Bi 0.500 0.000 0.000
16 Bi 0.500 0.500 0.500
17 O 0.041 0.241 0.562
18 O 0.041 0.259 0.938
19 O 0.053 0.031 0.261
20 O 0.053 0.469 0.239
21 O 0.240 0.554 0.966
22 O 0.240 0.946 0.534
23 O 0.260 0.554 0.534
24 O 0.260 0.946 0.966
25 O 0.447 0.031 0.239
26 O 0.447 0.469 0.261
27 O 0.459 0.241 0.938
28 O 0.459 0.259 0.562
29 O 0.541 0.741 0.438
30 O 0.541 0.759 0.062
31 O 0.553 0.531 0.739
32 O 0.553 0.969 0.761
33 O 0.740 0.054 0.034
34 O 0.740 0.446 0.466
35 O 0.760 0.054 0.466
36 O 0.760 0.446 0.034
37 O 0.947 0.531 0.761
38 O 0.947 0.969 0.739
39 O 0.959 0.741 0.062
40 O 0.959 0.759 0.438


7.
Below is a relaxed CrN2 crystal, with properties calculated at the PBE level.

Output
- ΔE_f (eV per atom) = -0.09
- total energy (eV per atom) = -8.624

abc: 8.034 24.117 12.515
angles: 90.00 94.43 90.00
Sites, in units of the cell vectors:
1 Cr 0.023 0.181 0.261
2 Cr 0.023 0.319 0.261
3 Cr 0.095 0.570 0.893
4 Cr 0.095 0.930 0.893
5 Cr 0.135 0.569 0.392
6 Cr 0.135 0.931 0.392
7 Cr 0.208 0.529 0.139
8 Cr 0.208 0.971 0.139
9 Cr 0.241 0.683 0.537
10 Cr 0.241 0.817 0.537
11 Cr 0.263 0.041 0.551
12 Cr 0.263 0.459 0.551
13 Cr 0.400 0.129 0.365
14 Cr 0.400 0.371 0.365
15 Cr 0.435 0.522 0.769
16 Cr 0.435 0.978 0.769
17 Cr 0.565 0.022 0.231
18 Cr 0.565 0.478 0.231
19 Cr 0.600 0.629 0.635
20 Cr 0.600 0.871 0.635
21 Cr 0.737 0.541 0.449
22 Cr 0.737 0.959 0.449
23 Cr 0.759 0.183 0.463
24 Cr 0.759 0.317 0.463
25 Cr 0.792 0.029 0.861
26 Cr 0.792 0.471 0.861
27 Cr 0.865 0.069 0.608
28 Cr 0.865 0.431 0.608
29 Cr 0.905 0.070 0.107
30 Cr 0.905 0.430 0.107
31 Cr 0.977 0.681 0.739
32 Cr 0.977 0.819 0.739
33 N 0.021 0.250 0.221
34 N 0.049 0.634 0.838
35 N 0.049 0.866 0.838
36 N 0.076 0.064 0.593
37 N 0.076 0.436 0.593
38 N 0.080 0.029 0.130
39 N 0.080 0.471 0.130
40 N 0.105 0.673 0.636
41 N 0.105 0.827 0.636
42 N 0.156 0.571 0.030
43 N 0.156 0.929 0.030
44 N 0.168 0.560 0.259
45 N 0.168 0.940 0.259
46 N 0.197 0.633 0.439
47 N 0.197 0.867 0.439
48 N 0.216 0.750 0.488
49 N 0.221 0.160 0.306
50 N 0.221 0.340 0.306
51 N 0.230 0.516 0.470
52 N 0.230 0.984 0.470
53 N 0.252 0.542 0.824
54 N 0.252 0.958 0.824
55 N 0.347 0.094 0.476
56 N 0.347 0.406 0.476
57 N 0.388 0.023 0.665
58 N 0.388 0.477 0.665
59 N 0.414 0.507 0.142
60 N 0.414 0.993 0.142
61 N 0.439 0.675 0.595
62 N 0.439 0.825 0.595
63 N 0.477 0.082 0.278
64 N 0.477 0.418 0.278
65 N 0.523 0.582 0.722
66 N 0.523 0.918 0.722
67 N 0.561 0.175 0.405
68 N 0.561 0.325 0.405
69 N 0.586 0.007 0.858
70 N 0.586 0.493 0.858
71 N 0.612 0.523 0.335
72 N 0.612 0.977 0.335
73 N 0.653 0.594 0.524
74 N 0.653 0.906 0.524
75 N 0.748 0.042 0.176
76 N 0.748 0.458 0.176
77 N 0.770 0.016 0.530
78 N 0.770 0.484 0.530
79 N 0.779 0.660 0.694
80 N 0.779 0.840 0.694
81 N 0.784 0.250 0.512
82 N 0.803 0.133 0.561
83 N 0.803 0.367 0.561
84 N 0.832 0.060 0.741
85 N 0.832 0.440 0.741
86 N 0.844 0.071 0.970
87 N 0.844 0.429 0.970
88 N 0.895 0.173 0.364
89 N 0.895 0.327 0.364
90 N 0.920 0.529 0.870
91 N 0.920 0.971 0.870
92 N 0.924 0.564 0.407
93 N 0.924 0.936 0.407
94 N 0.951 0.134 0.162
95 N 0.951 0.366 0.162
96 N 0.979 0.750 0.779


8.
Below is a relaxed GaP crystal, with properties calculated at the PBE level.

Output
- relative energy among the computed polymorphs (meV per atom) = 170
- ΔE_f (eV per atom) = -0.24
- total energy (eV per atom) = -4.461

abc: 6.744 6.744 6.744
angles: 90.00 90.00 90.00
Sites, in units of the cell vectors:
1 Ga 0.159 0.159 0.159
2 Ga 0.159 0.341 0.659
3 Ga 0.341 0.659 0.159
4 Ga 0.341 0.841 0.659
5 Ga 0.659 0.159 0.341
6 Ga 0.659 0.341 0.841
7 Ga 0.841 0.659 0.341
8 Ga 0.841 0.841 0.841
9 P 0.141 0.641 0.859
10 P 0.141 0.859 0.359
11 P 0.359 0.141 0.859
12 P 0.359 0.359 0.359
13 P 0.641 0.641 0.641
14 P 0.641 0.859 0.141
15 P 0.859 0.141 0.641
16 P 0.859 0.359 0.141


9.
Below is a relaxed Zr3P3Pd4 crystal, with properties calculated at the PBE level.

Output
- ΔE_f (eV per atom) = -1.04
- total energy (eV per atom) = -7.303

abc: 16.549 3.859 10.083
angles: 90.00 90.00 90.00
Sites, in units of the cell vectors:
1 Zr 0.048 0.250 0.117
2 Zr 0.061 0.750 0.589
3 Zr 0.240 0.250 0.977
4 Zr 0.260 0.750 0.477
5 Zr 0.439 0.250 0.089
6 Zr 0.452 0.750 0.617
7 Zr 0.548 0.250 0.383
8 Zr 0.561 0.750 0.911
9 Zr 0.740 0.250 0.523
10 Zr 0.760 0.750 0.023
11 Zr 0.939 0.250 0.411
12 Zr 0.952 0.750 0.883
13 P 0.045 0.750 0.320
14 P 0.114 0.750 0.963
15 P 0.177 0.250 0.611
16 P 0.323 0.750 0.111
17 P 0.386 0.250 0.463
18 P 0.455 0.250 0.820
19 P 0.545 0.750 0.180
20 P 0.614 0.750 0.537
21 P 0.677 0.250 0.889
22 P 0.823 0.750 0.389
23 P 0.886 0.250 0.037
24 P 0.955 0.250 0.680
25 Pd 0.081 0.250 0.817
26 Pd 0.128 0.250 0.383
27 Pd 0.176 0.750 0.189
28 Pd 0.206 0.750 0.765
29 Pd 0.294 0.250 0.265
30 Pd 0.324 0.250 0.689
31 Pd 0.372 0.750 0.883
32 Pd 0.419 0.750 0.317
33 Pd 0.581 0.250 0.683
34 Pd 0.628 0.250 0.117
35 Pd 0.676 0.750 0.311
36 Pd 0.706 0.750 0.735
37 Pd 0.794 0.250 0.235
38 Pd 0.824 0.250 0.811
39 Pd 0.872 0.750 0.617
40 Pd 0.919 0.750 0.183


10.
Below is a relaxed Tb2Al3Pt crystal, with properties calculated at the PBE level.

Output
- ΔE_f (eV per atom) = -0.79
- total energy (eV per atom) = -5.218

abc: 5.440 5.440 5.440
angles: 61.35 61.35 61.35
Sites, in units of the cell vectors:
1 Tb 0.125 0.125 0.125
2 Tb 0.875 0.875 0.875
3 Al 0.000 0.500 0.500
4 Al 0.500 0.000 0.500
5 Al 0.500 0.500 0.000
6 Pt 0.500 0.500 0.500


11.
Below is a relaxed Ba2EuBiO6 crystal, with properties calculated at the PBE level.

Output
- ΔE_f (eV per atom) = -2.59
- total energy (eV per atom) = -6.947

abc: 6.222 6.222 6.222
angles: 60.00 60.00 60.00
Sites, in units of the cell vectors:
1 Ba 0.250 0.250 0.250
2 Ba 0.750 0.750 0.750
3 Eu 0.000 0.000 0.000
4 Bi 0.500 0.500 0.500
5 O 0.258 0.258 0.742
6 O 0.258 0.742 0.258
7 O 0.258 0.742 0.742
8 O 0.742 0.258 0.258
9 O 0.742 0.258 0.742
10 O 0.742 0.742 0.258